This record from Materials Project describes a relaxed HfP2O7 crystal. The functional is r2SCAN.

V in Å³ per atom: 14.675
Space-group type: P2_1/c
ΔE to the lowest computed polymorph in meV per atom: 0
ΔH_f (0 K) in meV/atom: -2947

Geometry as CIF:
```
data_HfP2O7
_chemical_formula_sum 'Hf4 P8 O28'
_cell_length_a 12.873
_cell_length_b 5.349
_cell_length_c 10.063
_cell_angle_alpha 57.90
_cell_angle_beta 90.00
_cell_angle_gamma 90.00
_space_group_name_H-M_alt 'P 1'
_space_group_IT_number 1
loop_
_space_group_symop_operation_xyz
'x,y,z'
loop_
_atom_site_label
_atom_site_type_symbol
_atom_site_fract_x
_atom_site_fract_y
_atom_site_fract_z
_atom_site_occupancy
O1 O 0.823 0.616 0.108 1
O2 O 0.424 0.138 0.635 1
O3 O 0.747 0.672 0.865 1
O4 O 0.732 0.115 0.386 1
O5 O 0.114 0.819 0.422 1
O6 O 0.027 0.317 0.699 1
O7 O 0.386 0.819 0.922 1
O8 O 0.549 0.122 0.824 1
O9 O 0.076 0.138 0.135 1
O10 O 0.886 0.181 0.578 1
O11 O 0.973 0.683 0.301 1
O12 O 0.323 0.384 0.392 1
O13 O 0.768 0.115 0.886 1
O14 O 0.451 0.878 0.176 1
O15 O 0.924 0.862 0.865 1
O16 O 0.268 0.885 0.614 1
O17 O 0.049 0.878 0.676 1
O18 O 0.753 0.672 0.365 1
O19 O 0.527 0.683 0.801 1
O20 O 0.177 0.384 0.892 1
O21 O 0.614 0.181 0.078 1
O22 O 0.677 0.616 0.608 1
O23 O 0.253 0.328 0.135 1
O24 O 0.247 0.328 0.635 1
O25 O 0.232 0.885 0.114 1
O26 O 0.473 0.317 0.199 1
O27 O 0.576 0.862 0.365 1
O28 O 0.951 0.122 0.324 1
P1 P 0.473 0.930 0.804 1
P2 P 0.310 0.185 0.567 1
P3 P 0.810 0.815 0.933 1
P4 P 0.190 0.185 0.067 1
P5 P 0.527 0.070 0.196 1
P6 P 0.973 0.070 0.696 1
P7 P 0.690 0.815 0.433 1
P8 P 0.027 0.930 0.304 1
Hf1 Hf 0.148 0.599 0.659 1
Hf2 Hf 0.352 0.599 0.159 1
Hf3 Hf 0.852 0.401 0.341 1
Hf4 Hf 0.648 0.401 0.841 1
```